# r²SCAN YbZnGe, relaxed
data_YbZnGe
_space_group_name_H-M_alt 'P 1'
_space_group_IT_number 1
_cell_length_a 5.5278
_cell_length_b 5.5278
_cell_length_c 6.7781
_cell_angle_alpha 55.48
_cell_angle_beta 55.48
_cell_angle_gamma 43.48
loop_
_space_group_symop_operation_xyz
'x,y,z'
loop_
_atom_site_label
_atom_site_type_symbol
_atom_site_fract_x
_atom_site_fract_y
_atom_site_fract_z
Yb1 Yb 0.4450 0.4450 0.8100
Yb2 Yb 0.5550 0.5550 0.1900
Ge1 Ge 0.1722 0.1722 0.7938
Ge2 Ge 0.8278 0.8278 0.2062
Zn1 Zn 0.8474 0.8474 0.5794
Zn2 Zn 0.1526 0.1526 0.4206
# space-group type	C2/m (12)
# crystal system	monoclinic
# ΔE_f	-0.64	eV/atom
# total magnetic moment	0.0	μB/cell
# V	112.9	Å³ per cell